{"formula": "Ga7Ni3", "functional": "PBE", "state": "optimized geometry", "cell": [[-4.232, 4.232, 4.232], [4.232, -4.232, 4.232], [4.232, 4.232, -4.232]], "species": ["Ga", "Ga", "Ni", "Ga", "Ga", "Ga", "Ga", "Ga", "Ga", "Ni", "Ni", "Ga", "Ga", "Ga", "Ni", "Ga", "Ni", "Ga", "Ga", "Ni"], "fractional_positions": [[0.000, 0.323, 0.000], [0.323, 0.000, 0.000], [0.350, 0.350, 0.000], [0.677, 0.000, 0.000], [0.000, 0.677, 0.000], [0.750, 0.250, 0.500], [0.250, 0.500, 0.750], [0.750, 0.500, 0.250], [0.677, 0.677, 0.677], [0.000, 0.350, 0.350], [0.650, 0.000, 0.650], [0.250, 0.750, 0.500], [0.000, 0.000, 0.677], [0.500, 0.750, 0.250], [0.350, 0.000, 0.350], [0.500, 0.250, 0.750], [0.000, 0.650, 0.650], [0.000, 0.000, 0.323], [0.323, 0.323, 0.323], [0.650, 0.650, 0.000]], "ef_ev_per_fu": -3.3}